# 1
Computed, not measured: crystalline NaSrTbNbO6 at its relaxed geometry at the PBE-GGA level of DFT.

a b c (Å): 5.9938 5.9938 5.9938
angles (deg): 60.00 60.00 60.00
Last column: nearest neighbours and their distance in Å.
Sites, in units of the cell vectors:
Na  0.2500  0.2500  0.2500  12 O 3.00
Sr  0.7500  0.7500  0.7500  12 O 3.00
Tb  0.5000  0.5000  0.5000  6 O 2.23
Nb  0.0000  0.0000  0.0000  6 O 2.00
O  0.7635  0.2365  0.2365  1 Nb 2.00, 1 Tb 2.23
O  0.2365  0.7635  0.7635  1 Nb 2.00, 1 Tb 2.23
O  0.7635  0.2365  0.7635  1 Nb 2.00, 1 Tb 2.23
O  0.2365  0.7635  0.2365  1 Nb 2.00, 1 Tb 2.23
O  0.7635  0.7635  0.2365  1 Nb 2.00, 1 Tb 2.23
O  0.2365  0.2365  0.7635  1 Nb 2.00, 1 Tb 2.23

- Density: 5.0 g/cm3
- E_tot: -7.296 eV per atom
- Size of the total moment: 0.100 μB/atom
- ΔE_f: -2.9644 eV/atom



# 2
Computed, not measured: crystalline LuAg2 at its relaxed geometry at the PBE-GGA level of DFT.

a b c (Å): 5.2535 5.2535 5.2535
angles (deg): 138.74 138.74 59.77
Last column: nearest neighbours and their distance in Å.
Sites, in units of the cell vectors:
Lu  0.0000  0.0000  0.0000  10 Ag 3.03
Ag  0.6670  0.6670  0.0000  5 Ag 3.02-3.04, 5 Lu 3.03
Ag  0.3330  0.3330  0.0000  5 Ag 3.02-3.04, 5 Lu 3.03

- Density: 10.4 g/cm3
- E_tot: -3.736 eV per atom
- ΔE_f: -0.3411 eV/atom



# 3
Computed, not measured: crystalline CeSe2 at its relaxed geometry at the PBE-GGA level of DFT.

a b c (Å): 4.0792 4.0792 12.9140
angles (deg): 90.00 90.00 120.00
Last column: nearest neighbours and their distance in Å.
Sites, in units of the cell vectors:
Ce  0.0000  0.0000  0.0000  6 Se 2.89
Se  0.3333  0.6667  0.1302  3 Ce 2.89
Se  0.3333  0.6667  0.8698  3 Ce 2.89

- Density: 2.7 g/cm3
- E_tot: -5.648 eV per atom
- Size of the total moment: 0.000 μB/atom
- ΔE_f: -1.6547 eV/atom



# 4
Computed, not measured: crystalline Dy4CrGe8 at its relaxed geometry at the PBE-GGA level of DFT.

a b c (Å): 4.0228 4.2316 15.8582
angles (deg): 90.00 90.00 90.00
Last column: nearest neighbours and their distance in Å.
Sites, in units of the cell vectors:
Dy  0.2500  0.0000  0.4017  10 Ge 2.94-3.22
Dy  0.2500  0.5000  0.8940  10 Ge 3.00-3.16
Dy  0.7500  0.5000  0.1010  10 Ge 3.06-3.37, 4 Cr 3.27
Dy  0.7500  0.0000  0.6045  10 Ge 3.02-3.29
Cr  0.2500  0.0000  0.1937  5 Ge 2.32-2.40
Ge  0.2500  0.5000  0.2591  2 Cr 2.36
Ge  0.2500  0.0000  0.7518  4 Ge 2.92, 4 Dy 3.08-3.09
Ge  0.7500  0.0000  0.2663  2 Cr 2.32
Ge  0.7500  0.5000  0.7475  4 Ge 2.92, 4 Dy 3.07-3.10
Ge  0.2500  0.0000  0.0424  1 Cr 2.40, 2 Ge 2.61
Ge  0.2500  0.5000  0.5546  2 Ge 2.65
Ge  0.7500  0.5000  0.4455  2 Ge 2.65
Ge  0.7500  0.0000  0.9372  2 Ge 2.61

- Density: 7.9 g/cm3
- E_tot: -5.523 eV per atom
- Size of the total moment: 0.155 μB/atom
- ΔE_f: -0.5181 eV/atom



# 5
Computed, not measured: crystalline Ag4Sn2Hg3Se9 at its relaxed geometry at the PBE-GGA level of DFT.

a b c (Å): 7.5763 7.5882 10.6982
angles (deg): 90.10 90.58 119.77
Last column: nearest neighbours and their distance in Å.
Sites, in units of the cell vectors:
Ag  0.6820  0.6757  0.9020  4 Se 2.61-2.71
Ag  0.6880  0.3442  0.2386  4 Se 2.61-2.78
Ag  0.0112  0.6788  0.5795  4 Se 2.66-2.69
Ag  0.6786  0.0106  0.5793  4 Se 2.66-2.69
Sn  0.0081  0.0064  0.2419  4 Se 2.60-2.71
Sn  0.3467  0.3467  0.5878  4 Se 2.57-2.74
Hg  0.3659  0.0205  0.9137  4 Se 2.62-2.81
Hg  0.0059  0.3570  0.9142  4 Se 2.62-2.81
Hg  0.3458  0.7011  0.2300  3 Se 2.63-2.74
Se  0.6736  0.6732  0.6534  1 Sn 2.57, 3 Ag 2.66
Se  0.3440  0.3381  0.3320  2 Sn 2.71-2.74, 1 Ag 2.78, 1 Hg 2.96
Se  0.0105  0.0092  0.9987  1 Sn 2.60, 1 Ag 2.71, 2 Hg 2.81
Se  0.3569  0.6784  0.9852  3 Hg 2.63-2.68, 1 Ag 2.64
Se  0.6940  0.0180  0.3284  1 Sn 2.60, 2 Ag 2.68-2.69, 1 Hg 2.74
Se  0.0175  0.3456  0.6553  1 Sn 2.60, 2 Ag 2.68, 1 Hg 2.77
Se  0.3458  0.0174  0.6548  1 Sn 2.60, 2 Ag 2.68, 1 Hg 2.77
Se  0.6799  0.3567  0.9949  2 Ag 2.61, 2 Hg 2.62
Se  0.0096  0.6864  0.3281  1 Sn 2.60, 2 Ag 2.69, 1 Hg 2.72

- Density: 6.2 g/cm3
- E_tot: -3.095 eV per atom
- Size of the total moment: 0.000 μB/atom
- ΔE_f: -0.4570 eV/atom



# 6
Computed, not measured: crystalline Hg4H9C4S3O14F9 at its relaxed geometry at the PBE-GGA level of DFT.

a b c (Å): 7.7410 25.4202 14.4478
angles (deg): 90.00 117.41 90.00
Last column: nearest neighbours and their distance in Å.
Sites, in units of the cell vectors:
Hg  0.7437  0.2659  0.6983  1 C 2.10, 1 O 2.14
Hg  0.7437  0.2341  0.1983  1 C 2.10, 1 O 2.14
Hg  0.2563  0.7341  0.3017  1 C 2.10, 1 O 2.14
Hg  0.2563  0.7659  0.8017  1 C 2.10, 1 O 2.14
Hg  0.7379  0.2496  0.9405  1 C 2.10, 1 O 2.14
Hg  0.7379  0.2504  0.4405  1 C 2.10, 1 O 2.14
Hg  0.2621  0.7504  0.0595  1 C 2.10, 1 O 2.14
Hg  0.2621  0.7496  0.5595  1 C 2.10, 1 O 2.14
Hg  0.4975  0.3483  0.7722  1 C 2.09, 1 O 2.16
Hg  0.4975  0.1517  0.2722  1 C 2.09, 1 O 2.16
Hg  0.5025  0.6517  0.2278  1 C 2.09, 1 O 2.16
Hg  0.5025  0.8483  0.7278  1 C 2.09, 1 O 2.16
Hg  0.3446  0.2187  0.7087  1 C 2.09, 1 O 2.15
Hg  0.3446  0.2813  0.2087  1 C 2.09, 1 O 2.15
Hg  0.6554  0.7813  0.2913  1 C 2.09, 1 O 2.15
Hg  0.6554  0.7187  0.7913  1 C 2.09, 1 O 2.15
H  0.9641  0.2985  0.6197  1 O 0.99
H  0.9641  0.2015  0.1197  1 O 0.99
H  0.0359  0.7015  0.3803  1 O 0.99
H  0.0359  0.7985  0.8803  1 O 0.99
H  0.3420  0.4426  0.7727  1 O 0.99
H  0.3420  0.0574  0.2727  1 O 0.99
H  0.6580  0.5574  0.2273  1 O 0.99
H  0.6580  0.9426  0.7273  1 O 0.99
H  0.5694  0.4535  0.7960  1 O 1.01
H  0.5694  0.0465  0.2960  1 O 1.01
H  0.4306  0.5465  0.2040  1 O 1.01
H  0.4306  0.9535  0.7040  1 O 1.01
H  0.9930  0.1671  0.6223  1 O 0.99
H  0.9930  0.3329  0.1223  1 O 0.99
H  0.0070  0.8329  0.3777  1 O 0.99
H  0.0070  0.6671  0.8777  1 O 0.99
H  0.1316  0.1312  0.5924  1 O 1.01
H  0.1316  0.3688  0.0924  1 O 1.01
H  0.8684  0.8688  0.4076  1 O 1.01
H  0.8684  0.6312  0.9076  1 O 1.01
H  0.2041  0.0900  0.4830  1 O 0.99
H  0.2041  0.4100  0.9830  1 O 0.99
H  0.7959  0.9100  0.5170  1 O 0.99
H  0.7959  0.5900  0.0170  1 O 0.99
H  0.9986  0.0677  0.4634  1 O 0.98
H  0.9986  0.4323  0.9634  1 O 0.98
H  0.0014  0.9323  0.5366  1 O 0.98
H  0.0014  0.5677  0.0366  1 O 0.98
H  0.2085  0.0174  0.6032  1 O 0.99
H  0.2085  0.4826  0.1032  1 O 0.99
H  0.7915  0.9826  0.3968  1 O 0.99
H  0.7915  0.5174  0.8968  1 O 0.99
H  0.1447  0.9906  0.6805  1 O 0.98
H  0.1447  0.5094  0.1805  1 O 0.98
H  0.8553  0.0094  0.3195  1 O 0.98
H  0.8553  0.4906  0.8195  1 O 0.98
C  0.5825  0.2694  0.7821  4 Hg 2.09-2.10
C  0.5825  0.2306  0.2821  4 Hg 2.09-2.10
C  0.4175  0.7306  0.2179  4 Hg 2.09-2.10
C  0.4175  0.7694  0.7179  4 Hg 2.09-2.10
C  0.7010  0.0618  0.6137  3 F 1.35-1.36
C  0.7010  0.4382  0.1137  3 F 1.35-1.36
C  0.2990  0.9382  0.3863  3 F 1.35-1.36
C  0.2990  0.5618  0.8863  3 F 1.35-1.36
C  0.1877  0.1394  0.9344  3 F 1.35-1.36
C  0.1877  0.3606  0.4344  3 F 1.35-1.36
C  0.8123  0.8606  0.0656  3 F 1.35-1.36
C  0.8123  0.6394  0.5656  3 F 1.35-1.36
C  0.8142  0.4329  0.5749  3 F 1.35-1.36
C  0.8142  0.0671  0.0749  3 F 1.35-1.36
C  0.1858  0.5671  0.4251  3 F 1.35-1.36
C  0.1858  0.9329  0.9251  3 F 1.35-1.36
S  0.5824  0.1266  0.5611  3 O 1.46-1.47
S  0.5824  0.3734  0.0611  3 O 1.46-1.47
S  0.4176  0.8734  0.4389  3 O 1.46-1.47
S  0.4176  0.6266  0.9389  3 O 1.46-1.47
S  0.2315  0.2120  0.9390  3 O 1.46-1.47
S  0.2315  0.2880  0.4390  3 O 1.46-1.47
S  0.7685  0.7880  0.0610  3 O 1.46-1.47
S  0.7685  0.7120  0.5610  3 O 1.46-1.47
S  0.9740  0.4011  0.7032  3 O 1.46-1.47
S  0.9740  0.0989  0.2032  3 O 1.46-1.47
S  0.0260  0.5989  0.2968  3 O 1.46-1.47
S  0.0260  0.9011  0.7968  3 O 1.46-1.47
O  0.8924  0.2646  0.6049  1 H 0.99
O  0.8924  0.2354  0.1049  1 H 0.99
O  0.1076  0.7354  0.3951  1 H 0.99
O  0.1076  0.7646  0.8951  1 H 0.99
O  0.4479  0.4320  0.7558  2 H 0.99-1.01
O  0.4479  0.0680  0.2558  2 H 0.99-1.01
O  0.5521  0.5680  0.2442  2 H 0.99-1.01
O  0.5521  0.9320  0.7442  2 H 0.99-1.01
O  0.1300  0.1575  0.6446  2 H 0.99-1.01
O  0.1300  0.3425  0.1446  2 H 0.99-1.01
O  0.8700  0.8425  0.3554  2 H 0.99-1.01
O  0.8700  0.6575  0.8554  2 H 0.99-1.01
O  0.5412  0.1467  0.6432  1 S 1.46
O  0.5412  0.3533  0.1432  1 S 1.46
O  0.4588  0.8533  0.3568  1 S 1.46
O  0.4588  0.6467  0.8568  1 S 1.46
O  0.7326  0.1555  0.5465  1 S 1.47
O  0.7326  0.3445  0.0465  1 S 1.47
O  0.2674  0.8445  0.4535  1 S 1.47
O  0.2674  0.6555  0.9535  1 S 1.47
O  0.4120  0.1134  0.4630  1 S 1.46
O  0.4120  0.3866  0.9630  1 S 1.46
O  0.5880  0.8866  0.5370  1 S 1.46
O  0.5880  0.6134  0.0370  1 S 1.46
O  0.4438  0.2161  0.9879  1 S 1.46
O  0.4438  0.2839  0.4879  1 S 1.46
O  0.5562  0.7839  0.0121  1 S 1.46
O  0.5562  0.7161  0.5121  1 S 1.46
O  0.1444  0.2323  0.0030  1 S 1.47
O  0.1444  0.2677  0.5030  1 S 1.47
O  0.8556  0.7677  0.9970  1 S 1.47
O  0.8556  0.7323  0.4970  1 S 1.47
O  0.1321  0.2279  0.8295  1 S 1.46
O  0.1321  0.2721  0.3295  1 S 1.46
O  0.8679  0.7721  0.1705  1 S 1.46
O  0.8679  0.7279  0.6705  1 S 1.46
O  0.0980  0.4441  0.7667  1 S 1.46
O  0.0980  0.0559  0.2667  1 S 1.46
O  0.9020  0.5559  0.2333  1 S 1.46
O  0.9020  0.9441  0.7333  1 S 1.46
O  0.0794  0.3605  0.6765  1 S 1.47
O  0.0794  0.1395  0.1765  1 S 1.47
O  0.9206  0.6395  0.3235  1 S 1.47
O  0.9206  0.8605  0.8235  1 S 1.47
O  0.8378  0.3806  0.7384  1 S 1.46
O  0.8378  0.1194  0.2384  1 S 1.46
O  0.1622  0.6194  0.2616  1 S 1.46
O  0.1622  0.8806  0.7616  1 S 1.46
O  0.1242  0.0805  0.5180  2 H 0.98-0.99
O  0.1242  0.4195  0.0180  2 H 0.98-0.99
O  0.8758  0.9195  0.4820  2 H 0.98-0.99
O  0.8758  0.5805  0.9820  2 H 0.98-0.99
O  0.2115  0.9837  0.6384  2 H 0.98-0.99
O  0.2115  0.5163  0.1384  2 H 0.98-0.99
O  0.7885  0.0163  0.3616  2 H 0.98-0.99
O  0.7885  0.4837  0.8616  2 H 0.98-0.99
F  0.7467  0.0372  0.5444  1 C 1.36
F  0.7467  0.4628  0.0444  1 C 1.36
F  0.2533  0.9628  0.4556  1 C 1.36
F  0.2533  0.5372  0.9556  1 C 1.36
F  0.8660  0.0680  0.7038  1 C 1.35
F  0.8660  0.4320  0.2038  1 C 1.35
F  0.1340  0.9320  0.2962  1 C 1.35
F  0.1340  0.5681  0.7962  1 C 1.35
F  0.5776  0.0304  0.6315  1 C 1.36
F  0.5776  0.4696  0.1315  1 C 1.36
F  0.4224  0.9696  0.3685  1 C 1.36
F  0.4224  0.5304  0.8685  1 C 1.36
F  0.2479  0.1157  0.8705  1 C 1.35
F  0.2479  0.3843  0.3705  1 C 1.35
F  0.7521  0.8843  0.1295  1 C 1.35
F  0.7521  0.6157  0.6295  1 C 1.35
F  0.2862  0.1180  0.0308  1 C 1.36
F  0.2862  0.3820  0.5308  1 C 1.36
F  0.7138  0.8820  0.9692  1 C 1.36
F  0.7138  0.6180  0.4692  1 C 1.36
F  0.9954  0.1296  0.8988  1 C 1.36
F  0.9954  0.3704  0.3988  1 C 1.36
F  0.0046  0.8704  0.1012  1 C 1.36
F  0.0046  0.6296  0.6012  1 C 1.36
F  0.7015  0.3962  0.5049  1 C 1.36
F  0.7015  0.1038  0.0049  1 C 1.36
F  0.2985  0.6038  0.4951  1 C 1.36
F  0.2985  0.8962  0.9951  1 C 1.36
F  0.6961  0.4688  0.5867  1 C 1.36
F  0.6961  0.0312  0.0867  1 C 1.36
F  0.3039  0.5312  0.4133  1 C 1.36
F  0.3039  0.9688  0.9133  1 C 1.36
F  0.9225  0.4575  0.5367  1 C 1.35
F  0.9225  0.0425  0.0367  1 C 1.35
F  0.0775  0.5425  0.4633  1 C 1.35
F  0.0775  0.9575  0.9633  1 C 1.35

- Density: 3.6 g/cm3
- E_tot: -4.958 eV per atom
- Size of the total moment: 0.000 μB/atom
- ΔE_f: -1.3817 eV/atom